Record 1
VASP calculation (r2SCAN) on an optimized crystal structure of MgH2.

Lattice parameters (Å, degrees): 4.722 4.870 9.306 90.00 90.00 90.00
Element x y z (fractional)
Mg: 0.275 0.029 0.882
Mg: 0.225 0.529 0.118
Mg: 0.725 0.471 0.382
Mg: 0.775 0.471 0.882
Mg: 0.775 0.971 0.618
Mg: 0.275 0.529 0.618
Mg: 0.225 0.029 0.382
Mg: 0.725 0.971 0.118
H: 0.511 0.242 0.525
H: 0.011 0.258 0.525
H: 0.011 0.758 0.975
H: 0.989 0.742 0.475
H: 0.336 0.378 0.296
H: 0.336 0.878 0.204
H: 0.489 0.258 0.025
H: 0.989 0.242 0.025
H: 0.836 0.622 0.204
H: 0.836 0.122 0.296
H: 0.511 0.742 0.975
H: 0.489 0.758 0.475
H: 0.664 0.122 0.796
H: 0.164 0.878 0.704
H: 0.164 0.378 0.796
H: 0.664 0.622 0.704

Output
Electronic total energy ... -3.91 eV/atom
Space group ... Pbca (61)
E_form ... -0.2172 eV per atom
Spin magnetization ... 0.00 μB per formula unit

Record 2
VASP calculation (r2SCAN) on an optimized crystal structure of Ce2C3N6.

Lattice parameters (Å, degrees): 7.771 7.771 5.361 83.65 83.65 29.74
Element x y z (fractional)
Ce: 0.865 0.865 0.574
Ce: 0.135 0.135 0.426
C: 0.327 0.327 0.095
C: 0.673 0.673 0.905
C: 0.000 0.000 0.000
N: 0.691 0.691 0.673
N: 0.309 0.309 0.327
N: 0.658 0.658 0.132
N: 0.342 0.342 0.868
N: 0.989 0.989 0.230
N: 0.011 0.011 0.770

Output
Electronic total energy ... -14.18 eV/atom
Space group ... C2/m (12)
E_form ... -0.8802 eV per atom
Spin magnetization ... 2.00 μB per formula unit

Record 3
VASP calculation (r2SCAN) on an optimized crystal structure of EuInPd.

Lattice parameters (Å, degrees): 4.134 7.721 7.721 120.00 90.00 90.00
Element x y z (fractional)
Eu: 0.500 0.589 0.000
Eu: 0.500 0.411 0.411
Eu: 0.500 0.000 0.589
In: 0.000 0.250 0.000
In: 0.000 0.750 0.750
In: 0.000 0.000 0.250
Pd: 0.000 0.333 0.667
Pd: 0.000 0.667 0.333
Pd: 0.500 0.000 0.000

Output
Electronic total energy ... -28.78 eV/atom
Space group ... P-62m (189)
E_form ... -0.7649 eV per atom
Spin magnetization ... 7.02 μB per formula unit

Record 4
VASP calculation (r2SCAN) on an optimized crystal structure of NbTc.

Lattice parameters (Å, degrees): 2.797 2.797 4.414 90.00 90.00 110.54
Element x y z (fractional)
Nb: 0.000 0.000 0.000
Tc: 0.500 0.500 0.500

Output
Electronic total energy ... -25.50 eV/atom
Space group ... Cmmm (65)
E_form ... -0.1478 eV per atom
Spin magnetization ... 0.00 μB per formula unit

Record 5
VASP calculation (r2SCAN) on an optimized crystal structure of GdAl8Cu4.

Lattice parameters (Å, degrees): 5.095 6.692 6.692 98.46 67.49 112.51
Element x y z (fractional)
Gd: 0.000 0.000 0.000
Al: 0.281 0.780 0.220
Al: 0.500 0.220 0.220
Al: 0.651 0.651 0.349
Al: 0.000 0.348 0.348
Al: 0.000 0.652 0.652
Al: 0.349 0.349 0.651
Al: 0.719 0.220 0.780
Al: 0.500 0.780 0.780
Cu: 0.000 0.500 0.000
Cu: 0.500 0.500 0.000
Cu: 0.000 0.000 0.500
Cu: 0.500 0.000 0.500

Output
Electronic total energy ... -11.16 eV/atom
Space group ... C2/m (12)
E_form ... -0.3417 eV per atom
Spin magnetization ... 7.24 μB per formula unit

Record 6
VASP calculation (r2SCAN) on an optimized crystal structure of SmSi3Ni.

Lattice parameters (Å, degrees): 3.957 4.016 10.736 90.00 100.61 90.00
Element x y z (fractional)
Sm: 0.332 0.500 0.663
Sm: 0.668 0.500 0.337
Si: 0.444 0.000 0.889
Si: 0.556 0.000 0.111
Si: 0.217 0.000 0.435
Si: 0.783 0.000 0.565
Si: 0.944 0.500 0.888
Si: 0.056 0.500 0.112
Ni: 0.109 0.000 0.217
Ni: 0.891 0.000 0.783

Output
Electronic total energy ... -14.30 eV/atom
Space group ... Cmmm (65)
E_form ... -0.6936 eV per atom
Spin magnetization ... 0.00 μB per formula unit

Record 7
VASP calculation (r2SCAN) on an optimized crystal structure of EuZn2P2.

Lattice parameters (Å, degrees): 4.064 4.064 6.911 90.00 90.00 120.00
Element x y z (fractional)
Eu: 0.000 0.000 0.000
Zn: 0.667 0.333 0.366
Zn: 0.333 0.667 0.634
P: 0.667 0.333 0.730
P: 0.333 0.667 0.270

Output
Electronic total energy ... -15.72 eV/atom
Space group ... P-3m1 (164)
E_form ... -0.8468 eV per atom
Spin magnetization ... 7.00 μB per formula unit

Record 8
VASP calculation (r2SCAN) on an optimized crystal structure of SmAl2Zn2.

Lattice parameters (Å, degrees): 4.141 4.141 6.157 109.53 109.53 90.14
Element x y z (fractional)
Sm: 0.000 0.000 0.000
Al: 0.250 0.750 0.500
Al: 0.750 0.250 0.500
Zn: 0.610 0.610 0.221
Zn: 0.390 0.390 0.779

Output
Electronic total energy ... -12.70 eV/atom
Space group ... Fmmm (69)
E_form ... -0.4965 eV per atom
Spin magnetization ... 0.00 μB per formula unit

Record 9
VASP calculation (r2SCAN) on an optimized crystal structure of YMn2Si2.

Lattice parameters (Å, degrees): 3.880 3.880 5.924 109.12 109.12 90.00
Element x y z (fractional)
Y: 0.000 0.000 0.000
Mn: 0.250 0.750 0.500
Mn: 0.750 0.250 0.500
Si: 0.618 0.618 0.235
Si: 0.382 0.382 0.765

Output
Electronic total energy ... -14.12 eV/atom
Space group ... I4/mmm (139)
E_form ... -0.6711 eV per atom
Spin magnetization ... 4.50 μB per formula unit

Record 10
VASP calculation (r2SCAN) on an optimized crystal structure of Sb6S2O15.

Lattice parameters (Å, degrees): 11.198 11.198 5.886 90.00 90.00 114.39
Element x y z (fractional)
Sb: 0.117 0.700 0.874
Sb: 0.883 0.300 0.874
Sb: 0.300 0.883 0.374
Sb: 0.700 0.117 0.374
Sb: 0.377 0.246 0.392
Sb: 0.623 0.754 0.392
Sb: 0.754 0.623 0.892
Sb: 0.246 0.377 0.892
Sb: 0.959 0.825 0.506
Sb: 0.041 0.175 0.506
Sb: 0.175 0.041 0.006
Sb: 0.825 0.959 0.006
S: 0.787 0.477 0.340
S: 0.213 0.523 0.340
S: 0.523 0.213 0.840
S: 0.477 0.787 0.840
O: 0.662 0.488 0.338
O: 0.338 0.512 0.338
O: 0.512 0.338 0.838
O: 0.488 0.662 0.838
O: 0.771 0.341 0.288
O: 0.229 0.659 0.288
O: 0.659 0.229 0.788
O: 0.341 0.771 0.788
O: 0.871 0.562 0.150
O: 0.129 0.438 0.150
O: 0.438 0.129 0.650
O: 0.562 0.871 0.650
O: 0.000 0.000 0.151
O: 0.000 0.000 0.651
O: 0.757 0.760 0.118
O: 0.243 0.240 0.118
O: 0.240 0.243 0.618
O: 0.760 0.757 0.618
O: 0.051 0.256 0.828
O: 0.949 0.744 0.828
O: 0.744 0.949 0.328
O: 0.256 0.051 0.328
O: 0.827 0.157 0.107
O: 0.173 0.843 0.107
O: 0.843 0.173 0.607
O: 0.157 0.827 0.607
O: 0.858 0.522 0.554
O: 0.142 0.478 0.554
O: 0.478 0.142 0.054
O: 0.522 0.858 0.054

Output
Electronic total energy ... -12.77 eV/atom
Space group ... Ccc2 (37)
E_form ... -1.4715 eV per atom
Spin magnetization ... 0.00 μB per formula unit

Record 11
VASP calculation (r2SCAN) on an optimized crystal structure of Th2Al.

Lattice parameters (Å, degrees): 5.715 6.148 6.148 77.52 62.30 62.30
Element x y z (fractional)
Th: 0.158 0.500 0.185
Th: 0.342 0.815 0.500
Th: 0.658 0.185 0.500
Th: 0.842 0.500 0.815
Al: 0.250 0.000 0.000
Al: 0.750 0.000 0.000

Output
Electronic total energy ... -51.49 eV/atom
Space group ... I4/mcm (140)
E_form ... -0.2624 eV per atom
Spin magnetization ... 0.00 μB per formula unit

Record 12
VASP calculation (r2SCAN) on an optimized crystal structure of Ti5Ge3.

Lattice parameters (Å, degrees): 7.550 7.550 5.199 90.00 90.00 120.00
Element x y z (fractional)
Ti: 0.000 0.749 0.750
Ti: 0.251 0.251 0.750
Ti: 0.000 0.251 0.250
Ti: 0.333 0.667 0.500
Ti: 0.749 0.000 0.750
Ti: 0.749 0.749 0.250
Ti: 0.333 0.667 0.000
Ti: 0.251 0.000 0.250
Ti: 0.667 0.333 0.500
Ti: 0.667 0.333 0.000
Ge: 0.611 0.611 0.750
Ge: 0.389 0.000 0.750
Ge: 0.000 0.611 0.250
Ge: 0.611 0.000 0.250
Ge: 0.000 0.389 0.750
Ge: 0.389 0.389 0.250

Output
Electronic total energy ... -14.03 eV/atom
Space group ... P6_3/mcm (193)
E_form ... -0.7419 eV per atom
Spin magnetization ... 0.30 μB per formula unit

Record 13
VASP calculation (r2SCAN) on an optimized crystal structure of Sc2CuRh.

Lattice parameters (Å, degrees): 4.569 4.569 4.569 60.00 60.00 60.00
Element x y z (fractional)
Sc: 0.750 0.750 0.750
Sc: 0.250 0.250 0.250
Cu: 0.000 0.000 0.000
Rh: 0.500 0.500 0.500

Output
Electronic total energy ... -15.09 eV/atom
Space group ... Fm-3m (225)
E_form ... -0.6472 eV per atom
Spin magnetization ... 0.00 μB per formula unit

Record 14
VASP calculation (r2SCAN) on an optimized crystal structure of Ta2C.

Lattice parameters (Å, degrees): 3.115 3.115 4.939 90.00 90.00 120.00
Element x y z (fractional)
Ta: 0.333 0.667 0.254
Ta: 0.667 0.333 0.746
C: 0.000 0.000 0.000

Output
Electronic total energy ... -36.39 eV/atom
Space group ... P-3m1 (164)
E_form ... -0.6791 eV per atom
Spin magnetization ... 0.00 μB per formula unit

Record 15
VASP calculation (r2SCAN) on an optimized crystal structure of Li27Sb10.

Lattice parameters (Å, degrees): 9.242 22.948 7.934 30.23 54.48 59.91
Element x y z (fractional)
Li: 0.104 0.198 0.267
Li: 0.252 0.210 0.473
Li: 0.396 0.002 0.733
Li: 0.132 0.418 0.194
Li: 0.636 0.189 0.282
Li: 0.396 0.197 0.746
Li: 0.251 0.394 0.513
Li: 0.135 0.600 0.262
Li: 0.133 0.782 0.283
Li: 0.632 0.388 0.266
Li: 0.367 0.418 0.717
Li: 0.864 0.011 0.718
Li: 0.104 0.003 0.254
Li: 0.865 0.189 0.775
Li: 0.749 0.392 0.518
Li: 0.605 0.600 0.259
Li: 0.249 0.806 0.487
Li: 0.365 0.600 0.738
Li: 0.248 0.990 0.527
Li: 0.869 0.387 0.796
Li: 0.750 0.600 0.500
Li: 0.631 0.813 0.204
Li: 0.368 0.782 0.806
Li: 0.751 0.808 0.482
Li: 0.635 0.011 0.225
Li: 0.895 0.600 0.741
Li: 0.868 0.812 0.734
Sb: 0.014 0.991 0.001
Sb: 0.014 0.209 0.955
Sb: 0.486 0.991 0.045
Sb: 0.999 0.398 0.009
Sb: 0.486 0.209 0.999
Sb: 0.988 0.600 0.027
Sb: 0.501 0.398 0.002
Sb: 0.999 0.802 0.998
Sb: 0.512 0.600 0.973
Sb: 0.501 0.802 0.991

Output
Electronic total energy ... -9.40 eV/atom
Space group ... P-1 (2)
E_form ... -0.7129 eV per atom
Spin magnetization ... 0.00 μB per formula unit

Record 16
VASP calculation (r2SCAN) on an optimized crystal structure of NiH12Cl2O6.

Lattice parameters (Å, degrees): 6.173 6.173 6.513 63.20 63.20 68.31
Element x y z (fractional)
Ni: 0.000 0.000 0.000
H: 0.736 0.736 0.832
H: 0.264 0.264 0.168
H: 0.819 0.819 0.544
H: 0.181 0.181 0.456
H: 0.675 0.212 0.772
H: 0.788 0.325 0.228
H: 0.325 0.788 0.228
H: 0.212 0.675 0.772
H: 0.417 0.804 0.720
H: 0.804 0.417 0.720
H: 0.196 0.583 0.280
H: 0.583 0.196 0.280
Cl: 0.725 0.725 0.167
Cl: 0.275 0.275 0.833
O: 0.718 0.718 0.699
O: 0.282 0.282 0.301
O: 0.239 0.834 0.744
O: 0.166 0.761 0.256
O: 0.834 0.239 0.744
O: 0.761 0.166 0.256

Output
Electronic total energy ... -5.89 eV/atom
Space group ... C2/m (12)
E_form ... -1.0492 eV per atom
Spin magnetization ... 2.00 μB per formula unit

Record 17
VASP calculation (r2SCAN) on an optimized crystal structure of K2CO3.

Lattice parameters (Å, degrees): 5.596 5.742 6.706 84.66 78.98 60.84
Element x y z (fractional)
K: 0.665 0.669 0.750
K: 0.335 0.331 0.250
K: 0.000 0.000 0.500
K: 0.000 0.000 0.000
C: 0.668 0.665 0.250
C: 0.332 0.335 0.750
O: 0.224 0.207 0.687
O: 0.203 0.594 0.750
O: 0.797 0.406 0.250
O: 0.776 0.793 0.313
O: 0.569 0.207 0.813
O: 0.431 0.793 0.187

Output
Electronic total energy ... -8.55 eV/atom
Space group ... C2/c (15)
E_form ... -1.9007 eV per atom
Spin magnetization ... 0.00 μB per formula unit

Record 18
VASP calculation (r2SCAN) on an optimized crystal structure of MgSn5.

Lattice parameters (Å, degrees): 6.461 6.461 6.461 52.23 52.23 52.23
Element x y z (fractional)
Mg: 0.500 0.500 0.500
Sn: 0.000 0.661 0.339
Sn: 0.166 0.166 0.166
Sn: 0.339 0.000 0.661
Sn: 0.661 0.339 0.000
Sn: 0.834 0.834 0.834

Output
Electronic total energy ... -21.15 eV/atom
Space group ... R32 (155)
E_form ... 0.1658 eV per atom
Spin magnetization ... 0.00 μB per formula unit

Record 19
VASP calculation (r2SCAN) on an optimized crystal structure of SrGa2Te4.

Lattice parameters (Å, degrees): 6.795 6.795 6.795 104.29 104.29 120.43
Element x y z (fractional)
Sr: 0.750 0.750 0.000
Ga: 0.250 0.750 0.500
Ga: 0.750 0.250 0.500
Te: 0.172 0.328 0.500
Te: 0.328 0.828 0.155
Te: 0.672 0.172 0.845
Te: 0.828 0.672 0.500

Output
Electronic total energy ... -20.83 eV/atom
Space group ... I422 (97)
E_form ... -0.8724 eV per atom
Spin magnetization ... 0.00 μB per formula unit

Record 20
VASP calculation (r2SCAN) on an optimized crystal structure of Ni3Pt.

Lattice parameters (Å, degrees): 3.625 3.625 3.625 90.00 90.00 90.00
Element x y z (fractional)
Ni: 0.500 0.000 0.500
Ni: 0.000 0.500 0.500
Ni: 0.500 0.500 0.000
Pt: 0.000 0.000 0.000

Output
Electronic total energy ... -21.95 eV/atom
Space group ... Pm-3m (221)
E_form ... -0.0880 eV per atom
Spin magnetization ... 2.93 μB per formula unit